Computed, not measured: a relaxed structure of Mn2IrN3 at the PBE level of DFT.

* total DFT energy (no corrections): -103.919 eV for the cell shown
* formation energy from the elements: -0.1451 eV/atom

Unit cell a=5.3345 b=5.3345 c=4.9281 alpha=90.00 beta=90.00 gamma=61.70
With the nearest neighbours (Å) after each atom.
Fractional positions:
Mn 0.0272 0.3481 0.0000  4 N 1.85-1.88
Mn 0.3481 0.0272 0.5000  4 N 1.85-1.88
Mn 0.6519 0.9728 0.0000  4 N 1.85-1.88
Mn 0.9728 0.6519 0.5000  4 N 1.85-1.88
Ir 0.4038 0.5962 0.0002  4 N 1.99-2.07
Ir 0.5962 0.4038 0.5002  4 N 1.99-2.07
N 0.0012 0.6855 0.8720  3 Mn 1.85-1.87, 1 Ir 2.07
N 0.2491 0.7509 0.3792  2 Mn 1.88, 2 Ir 1.99-2.05
N 0.3145 0.9988 0.8720  3 Mn 1.85-1.87, 1 Ir 2.07
N 0.6855 0.0012 0.3720  3 Mn 1.85-1.87, 1 Ir 2.07
N 0.7509 0.2491 0.8792  2 Mn 1.88, 2 Ir 1.99-2.05
N 0.9988 0.3145 0.3720  3 Mn 1.85-1.87, 1 Ir 2.07



Computed, not measured: a relaxed structure of MnIrN2 at the PBE level of DFT.

* total DFT energy (no corrections): -135.491 eV for the cell shown
* total moment: 8.0 μB/cell
* formation energy from the elements: 0.0197 eV/atom

Unit cell a=5.0925 b=6.4939 c=5.2751 alpha=90.00 beta=90.00 gamma=90.00
With the nearest neighbours (Å) after each atom.
Fractional positions:
Mn 0.1225 0.1552 0.0000  4 N 1.88-1.96
Mn 0.3775 0.6552 0.5000  4 N 1.88-1.96
Mn 0.6225 0.3448 0.0000  4 N 1.88-1.96
Mn 0.8775 0.8448 0.5000  4 N 1.88-1.96
Ir 0.0687 0.6606 0.9182  4 N 1.97-2.10
Ir 0.4313 0.1606 0.4182  4 N 1.97-2.10
Ir 0.5687 0.8394 0.9182  4 N 1.97-2.10
Ir 0.9313 0.3394 0.4182  4 N 1.97-2.10
N 0.0587 0.6361 0.3156  2 Mn 1.90-1.91, 2 Ir 2.10
N 0.0656 0.0609 0.3480  2 Mn 1.88-1.96, 2 Ir 1.97-2.01
N 0.4344 0.5609 0.8480  2 Mn 1.88-1.96, 2 Ir 1.97-2.01
N 0.4413 0.1361 0.8156  2 Mn 1.90-1.91, 2 Ir 2.10
N 0.5587 0.8639 0.3156  2 Mn 1.90-1.91, 2 Ir 2.10
N 0.5656 0.4391 0.3480  2 Mn 1.88-1.96, 2 Ir 1.97-2.01
N 0.9344 0.9391 0.8480  2 Mn 1.88-1.96, 2 Ir 1.97-2.01
N 0.9413 0.3639 0.8156  2 Mn 1.90-1.91, 2 Ir 2.10



Computed, not measured: a relaxed structure of Mn2IrRh at the PBE level of DFT.

* total DFT energy (no corrections): -35.203 eV for the cell shown
* formation energy from the elements: -0.1691 eV/atom

Unit cell a=4.3045 b=4.3045 c=4.3045 alpha=60.00 beta=60.00 gamma=60.00
With the nearest neighbours (Å) after each atom.
Fractional positions:
Mn 0.2500 0.2500 0.2500  4 Rh 2.64, 4 Ir 2.64
Mn 0.7500 0.7500 0.7500  4 Ir 2.64, 4 Rh 2.64
Ir 0.0000 0.0000 0.0000  8 Mn 2.64
Rh 0.5000 0.5000 0.5000  8 Mn 2.64



Computed, not measured: a relaxed structure of MnSiIr at the PBE level of DFT.

* total DFT energy (no corrections): -100.227 eV for the cell shown
* formation energy from the elements: -0.5437 eV/atom

Unit cell a=6.0552 b=3.8754 c=7.2378 alpha=90.00 beta=90.00 gamma=90.00
With the nearest neighbours (Å) after each atom.
Fractional positions:
Mn 0.0313 0.2500 0.1803  5 Si 2.62-2.69, 6 Ir 2.81-2.94
Mn 0.4687 0.7500 0.6803  5 Si 2.62-2.69, 6 Ir 2.81-2.94
Mn 0.5313 0.2500 0.3197  5 Si 2.62-2.69, 6 Ir 2.81-2.94
Mn 0.9687 0.7500 0.8197  5 Si 2.62-2.69, 6 Ir 2.81-2.94
Si 0.2325 0.7500 0.3767  4 Ir 2.36-2.44, 1 Mn 2.62
Si 0.2675 0.2500 0.8767  4 Ir 2.36-2.44, 1 Mn 2.62
Si 0.7325 0.7500 0.1233  4 Ir 2.36-2.44, 1 Mn 2.62
Si 0.7675 0.2500 0.6233  4 Ir 2.36-2.44, 1 Mn 2.62
Ir 0.1636 0.2500 0.5624  4 Si 2.36-2.44
Ir 0.3364 0.7500 0.0624  4 Si 2.36-2.44
Ir 0.6636 0.2500 0.9376  4 Si 2.36-2.44
Ir 0.8364 0.7500 0.4376  4 Si 2.36-2.44